Computed, not measured: a geometry-optimized Ta2Zn4O9 structure at the GGA-PBE level of DFT.

Calculated values
- V (A^3/atom) = 12.16
- energy of formation from the pure elements (kJ per mole of atoms) = -239.6
- crystal system = triclinic
- E above lowest polymorph (eV per atom) = 0.000

Unit cell a=8.864 b=8.960 c=10.489 alpha=87.61 beta=87.50 gamma=61.23
Element x y z (fractional)
Ta (0.000, 0.000, 0.000)
Ta (0.000, 0.000, 0.500)
Ta (0.307, 0.002, 0.243)
Ta (0.326, 0.353, 0.797)
Ta (0.331, 0.354, 0.301)
Ta (0.669, 0.646, 0.699)
Ta (0.674, 0.647, 0.203)
Ta (0.693, 0.998, 0.757)
Zn (0.008, 0.256, 0.732)
Zn (0.040, 0.344, 0.066)
Zn (0.099, 0.567, 0.558)
Zn (0.225, 0.797, 0.758)
Zn (0.328, 0.595, 0.046)
Zn (0.341, 0.059, 0.571)
Zn (0.364, 0.674, 0.460)
Zn (0.425, 0.901, 0.951)
Zn (0.575, 0.099, 0.049)
Zn (0.636, 0.326, 0.540)
Zn (0.659, 0.941, 0.429)
Zn (0.672, 0.405, 0.954)
Zn (0.775, 0.203, 0.242)
Zn (0.901, 0.433, 0.442)
Zn (0.960, 0.656, 0.934)
Zn (0.992, 0.744, 0.268)
O (0.089, 0.048, 0.838)
O (0.090, 0.762, 0.441)
O (0.101, 0.051, 0.340)
O (0.117, 0.755, 0.946)
O (0.127, 0.415, 0.408)
O (0.129, 0.408, 0.907)
O (0.216, 0.561, 0.200)
O (0.221, 0.955, 0.084)
O (0.225, 0.259, 0.674)
O (0.230, 0.911, 0.579)
O (0.237, 0.570, 0.702)
O (0.238, 0.234, 0.176)
O (0.408, 0.089, 0.380)
O (0.436, 0.424, 0.423)
O (0.443, 0.769, 0.313)
O (0.452, 0.404, 0.921)
O (0.457, 0.754, 0.811)
O (0.465, 0.094, 0.876)
O (0.535, 0.906, 0.124)
O (0.543, 0.246, 0.189)
O (0.548, 0.596, 0.079)
O (0.557, 0.231, 0.687)
O (0.564, 0.576, 0.577)
O (0.592, 0.911, 0.620)
O (0.762, 0.766, 0.824)
O (0.763, 0.430, 0.298)
O (0.770, 0.089, 0.421)
O (0.775, 0.741, 0.326)
O (0.779, 0.045, 0.916)
O (0.784, 0.439, 0.800)
O (0.871, 0.592, 0.093)
O (0.873, 0.585, 0.592)
O (0.883, 0.245, 0.054)
O (0.899, 0.949, 0.660)
O (0.910, 0.238, 0.559)
O (0.911, 0.952, 0.162)

***

Computed, not measured: a geometry-optimized Ta2Zn4O9 structure at the GGA-PBE level of DFT.

Calculated values
- V (A^3/atom) = 11.39
- energy of formation from the pure elements (kJ per mole of atoms) = -238.0
- crystal system = trigonal
- E above lowest polymorph (eV per atom) = 0.017

Unit cell a=5.244 b=5.244 c=14.347 alpha=90.00 beta=90.00 gamma=120.00
Element x y z (fractional)
Ta (0.000, 0.000, 0.141)
Ta (0.000, 0.000, 0.359)
Ta (0.000, 0.000, 0.641)
Ta (0.000, 0.000, 0.859)
Zn (0.333, 0.667, 0.018)
Zn (0.333, 0.667, 0.303)
Zn (0.333, 0.667, 0.518)
Zn (0.333, 0.667, 0.803)
Zn (0.667, 0.333, 0.197)
Zn (0.667, 0.333, 0.482)
Zn (0.667, 0.333, 0.697)
Zn (0.667, 0.333, 0.982)
O (0.000, 0.285, 0.250)
O (0.000, 0.715, 0.750)
O (0.024, 0.340, 0.916)
O (0.024, 0.683, 0.416)
O (0.285, 0.000, 0.250)
O (0.285, 0.285, 0.750)
O (0.317, 0.340, 0.416)
O (0.317, 0.976, 0.916)
O (0.340, 0.024, 0.584)
O (0.340, 0.317, 0.084)
O (0.660, 0.683, 0.916)
O (0.660, 0.976, 0.416)
O (0.683, 0.024, 0.084)
O (0.683, 0.660, 0.584)
O (0.715, 0.000, 0.750)
O (0.715, 0.715, 0.250)
O (0.976, 0.317, 0.584)
O (0.976, 0.660, 0.084)

***

Computed, not measured: a geometry-optimized Ta2Zn4O9 structure at the GGA-PBE level of DFT.

Calculated values
- V (A^3/atom) = 11.05
- energy of formation from the pure elements (kJ per mole of atoms) = -233.6
- crystal system = monoclinic
- E above lowest polymorph (eV per atom) = 0.062

Unit cell a=9.466 b=5.261 c=16.011 alpha=90.00 beta=123.75 gamma=90.00
Element x y z (fractional)
Ta (0.001, 0.006, 0.340)
Ta (0.001, 0.494, 0.840)
Ta (0.495, 0.010, 0.161)
Ta (0.495, 0.490, 0.661)
Ta (0.505, 0.510, 0.339)
Ta (0.505, 0.990, 0.839)
Ta (0.999, 0.506, 0.160)
Ta (0.999, 0.994, 0.660)
Zn (0.000, 0.000, 0.000)
Zn (0.000, 0.500, 0.500)
Zn (0.245, 0.000, 0.906)
Zn (0.245, 0.011, 0.237)
Zn (0.245, 0.489, 0.737)
Zn (0.245, 0.500, 0.406)
Zn (0.262, 0.001, 0.574)
Zn (0.262, 0.499, 0.074)
Zn (0.500, 0.000, 0.500)
Zn (0.500, 0.500, 0.000)
Zn (0.738, 0.501, 0.926)
Zn (0.738, 0.999, 0.426)
Zn (0.755, 0.000, 0.094)
Zn (0.755, 0.500, 0.594)
Zn (0.755, 0.511, 0.263)
Zn (0.755, 0.989, 0.763)
O (0.054, 0.681, 0.407)
O (0.054, 0.819, 0.907)
O (0.060, 0.670, 0.747)
O (0.060, 0.830, 0.247)
O (0.088, 0.662, 0.090)
O (0.088, 0.838, 0.590)
O (0.233, 0.129, 0.438)
O (0.233, 0.371, 0.938)
O (0.252, 0.113, 0.777)
O (0.252, 0.387, 0.277)
O (0.263, 0.125, 0.114)
O (0.263, 0.375, 0.614)
O (0.423, 0.665, 0.537)
O (0.423, 0.835, 0.037)
O (0.428, 0.680, 0.867)
O (0.428, 0.820, 0.367)
O (0.446, 0.672, 0.207)
O (0.446, 0.828, 0.707)
O (0.554, 0.172, 0.293)
O (0.554, 0.328, 0.793)
O (0.572, 0.180, 0.633)
O (0.572, 0.320, 0.133)
O (0.577, 0.165, 0.963)
O (0.577, 0.335, 0.463)
O (0.737, 0.625, 0.386)
O (0.737, 0.875, 0.886)
O (0.748, 0.613, 0.723)
O (0.748, 0.887, 0.223)
O (0.767, 0.629, 0.062)
O (0.767, 0.871, 0.562)
O (0.912, 0.162, 0.410)
O (0.912, 0.338, 0.910)
O (0.940, 0.170, 0.753)
O (0.940, 0.330, 0.253)
O (0.946, 0.181, 0.093)
O (0.946, 0.319, 0.593)

***

Computed, not measured: a geometry-optimized Ta5Zn7O18 structure at the GGA-PBE level of DFT.

Calculated values
- V (A^3/atom) = 12.32
- energy of formation from the pure elements (kJ per mole of atoms) = -238.0
- crystal system = monoclinic

Unit cell a=8.838 b=8.838 c=10.587 alpha=92.25 beta=92.25 gamma=63.54
Element x y z (fractional)
Ta (0.000, 0.000, 0.000)
Ta (0.000, 0.000, 0.500)
Ta (0.001, 0.700, 0.735)
Ta (0.300, 0.999, 0.765)
Ta (0.337, 0.338, 0.704)
Ta (0.338, 0.337, 0.204)
Ta (0.662, 0.663, 0.796)
Ta (0.663, 0.662, 0.296)
Ta (0.700, 0.001, 0.235)
Ta (0.999, 0.300, 0.265)
Zn (0.036, 0.348, 0.936)
Zn (0.110, 0.566, 0.450)
Zn (0.230, 0.770, 0.250)
Zn (0.329, 0.620, 0.966)
Zn (0.348, 0.036, 0.436)
Zn (0.380, 0.671, 0.534)
Zn (0.434, 0.890, 0.050)
Zn (0.566, 0.110, 0.950)
Zn (0.620, 0.329, 0.466)
Zn (0.652, 0.964, 0.564)
Zn (0.671, 0.380, 0.034)
Zn (0.770, 0.230, 0.750)
Zn (0.890, 0.434, 0.550)
Zn (0.964, 0.652, 0.064)
O (0.047, 0.109, 0.156)
O (0.065, 0.767, 0.574)
O (0.092, 0.460, 0.625)
O (0.102, 0.398, 0.122)
O (0.109, 0.047, 0.656)
O (0.123, 0.765, 0.079)
O (0.230, 0.242, 0.337)
O (0.231, 0.556, 0.810)
O (0.233, 0.935, 0.926)
O (0.235, 0.877, 0.421)
O (0.242, 0.230, 0.837)
O (0.252, 0.545, 0.304)
O (0.398, 0.102, 0.622)
O (0.410, 0.431, 0.573)
O (0.431, 0.410, 0.073)
O (0.444, 0.769, 0.690)
O (0.455, 0.748, 0.196)
O (0.460, 0.092, 0.125)
O (0.540, 0.908, 0.875)
O (0.545, 0.252, 0.804)
O (0.556, 0.231, 0.310)
O (0.569, 0.590, 0.927)
O (0.590, 0.569, 0.427)
O (0.602, 0.898, 0.378)
O (0.748, 0.455, 0.696)
O (0.758, 0.770, 0.163)
O (0.765, 0.123, 0.579)
O (0.767, 0.065, 0.074)
O (0.769, 0.444, 0.190)
O (0.770, 0.758, 0.663)
O (0.877, 0.235, 0.921)
O (0.891, 0.953, 0.344)
O (0.898, 0.602, 0.878)
O (0.908, 0.540, 0.375)
O (0.935, 0.233, 0.426)
O (0.953, 0.891, 0.844)

***

Computed, not measured: a geometry-optimized Ta2ZnO6 structure at the GGA-PBE level of DFT.

Calculated values
- V (A^3/atom) = 12.37
- energy of formation from the pure elements (kJ per mole of atoms) = -283.9
- crystal system = orthorhombic
- E above lowest polymorph (eV per atom) = 0.052

Unit cell a=7.686 b=5.471 c=5.293 alpha=90.00 beta=90.00 gamma=90.00
Element x y z (fractional)
Ta (0.249, 0.246, 0.000)
Ta (0.251, 0.754, 0.500)
Ta (0.749, 0.754, 0.500)
Ta (0.751, 0.246, 0.000)
Zn (0.000, 0.714, 0.001)
Zn (0.500, 0.286, 0.501)
O (0.000, 0.292, 0.921)
O (0.000, 0.779, 0.625)
O (0.188, 0.930, 0.170)
O (0.207, 0.462, 0.284)
O (0.293, 0.538, 0.784)
O (0.312, 0.070, 0.670)
O (0.500, 0.221, 0.125)
O (0.500, 0.708, 0.421)
O (0.688, 0.070, 0.670)
O (0.707, 0.538, 0.784)
O (0.793, 0.462, 0.284)
O (0.812, 0.930, 0.170)

***

Computed, not measured: a geometry-optimized Ta2Zn4O9 structure at the GGA-PBE level of DFT.

Calculated values
- V (A^3/atom) = 11.46
- energy of formation from the pure elements (kJ per mole of atoms) = -237.8
- crystal system = orthorhombic
- E above lowest polymorph (eV per atom) = 0.018

Unit cell a=9.074 b=5.223 c=14.512 alpha=90.00 beta=90.00 gamma=90.00
Element x y z (fractional)
Ta (0.018, 0.004, 0.143)
Ta (0.018, 0.996, 0.643)
Ta (0.482, 0.496, 0.643)
Ta (0.482, 0.504, 0.143)
Ta (0.518, 0.496, 0.857)
Ta (0.518, 0.504, 0.357)
Ta (0.982, 0.004, 0.357)
Ta (0.982, 0.996, 0.857)
Zn (0.162, 0.492, 0.504)
Zn (0.162, 0.508, 0.004)
Zn (0.164, 0.497, 0.802)
Zn (0.164, 0.503, 0.302)
Zn (0.336, 0.003, 0.302)
Zn (0.336, 0.997, 0.802)
Zn (0.338, 0.008, 0.004)
Zn (0.338, 0.992, 0.504)
Zn (0.662, 0.008, 0.496)
Zn (0.662, 0.992, 0.996)
Zn (0.664, 0.003, 0.198)
Zn (0.664, 0.997, 0.698)
Zn (0.836, 0.497, 0.698)
Zn (0.836, 0.503, 0.198)
Zn (0.838, 0.492, 0.996)
Zn (0.838, 0.508, 0.496)
O (0.000, 0.287, 0.250)
O (0.000, 0.713, 0.750)
O (0.006, 0.323, 0.914)
O (0.006, 0.677, 0.414)
O (0.143, 0.137, 0.751)
O (0.143, 0.863, 0.251)
O (0.159, 0.180, 0.405)
O (0.159, 0.820, 0.905)
O (0.166, 0.163, 0.074)
O (0.166, 0.837, 0.574)
O (0.334, 0.337, 0.574)
O (0.334, 0.663, 0.074)
O (0.341, 0.320, 0.905)
O (0.341, 0.680, 0.405)
O (0.357, 0.363, 0.251)
O (0.357, 0.637, 0.751)
O (0.494, 0.177, 0.414)
O (0.494, 0.823, 0.914)
O (0.500, 0.213, 0.750)
O (0.500, 0.787, 0.250)
O (0.506, 0.177, 0.086)
O (0.506, 0.823, 0.586)
O (0.643, 0.363, 0.249)
O (0.643, 0.637, 0.749)
O (0.659, 0.320, 0.595)
O (0.659, 0.680, 0.095)
O (0.666, 0.337, 0.926)
O (0.666, 0.663, 0.426)
O (0.834, 0.163, 0.426)
O (0.834, 0.837, 0.926)
O (0.841, 0.180, 0.095)
O (0.841, 0.820, 0.595)
O (0.857, 0.137, 0.749)
O (0.857, 0.863, 0.249)
O (0.994, 0.323, 0.586)
O (0.994, 0.677, 0.086)